Entry 1:
! PBE Na5Al2Zn2P3S3O24, optimized geometry; values from VASP
&SYSTEM
  ibrav = 0, nat = 117, ntyp = 6
/
ATOMIC_SPECIES
Na 22.99 Na.upf
Al 26.98 Al.upf
Zn 65.41 Zn.upf
P 30.97 P.upf
S 32.06 S.upf
O 16.00 O.upf
ATOMIC_POSITIONS angstrom
Na 0.000 0.000 0.000
Na 0.156 0.365 10.800
Na 1.722 2.950 16.167
Na 3.327 5.080 12.770
Na 2.963 0.390 12.577
Na 4.503 2.785 3.585
Na 6.074 5.421 9.023
Na 7.336 7.686 19.785
Na 4.675 2.630 14.434
Na 6.174 5.110 16.231
Na 7.667 7.472 5.570
Na 7.308 2.791 5.339
Na 6.051 0.225 1.827
Na 9.179 5.479 18.047
Na 9.139 5.202 7.259
Al 4.449 7.567 3.317
Al 4.618 7.732 14.120
Al 4.540 2.663 17.711
Al 4.536 2.508 6.878
Al 8.862 5.165 10.536
Al 8.992 5.263 21.318
Zn 4.418 7.735 18.479
Zn 4.508 7.604 7.603
Zn 4.492 2.628 11.218
Zn 4.635 2.445 0.433
Zn 8.857 5.047 4.005
Zn 8.920 5.269 14.837
P 3.305 5.504 16.306
P 5.693 5.335 5.535
P 7.136 7.843 16.379
P 3.309 0.315 9.138
P 6.322 5.224 12.734
P 5.819 0.481 20.009
P 7.692 2.738 1.945
P 10.678 7.640 5.497
P 10.087 2.939 12.743
S 1.490 2.220 5.500
S 3.137 4.792 9.117
S 2.012 2.884 19.934
S 5.931 4.978 19.899
S 7.453 7.237 1.874
S 7.118 2.646 9.094
S 10.268 7.423 12.687
S 7.580 2.338 16.328
S 11.446 5.039 1.879
O 3.696 6.154 8.977
O 1.134 1.700 19.833
O 3.946 6.195 15.037
O 1.217 1.316 4.334
O 2.831 3.041 18.670
O 3.506 3.911 7.970
O 3.718 4.285 10.384
O 3.574 3.888 1.701
O 2.869 2.693 12.601
O 2.878 2.698 21.098
O 5.070 6.112 4.341
O 1.831 0.462 15.133
O 2.991 2.262 5.609
O 5.467 6.562 12.812
O 6.142 7.691 9.027
O 4.067 4.106 16.436
O 5.971 7.267 2.009
O 5.443 6.375 19.819
O 6.299 7.675 17.653
O 5.617 6.158 6.831
O 5.001 3.933 5.677
O 3.620 1.565 16.473
O 5.340 4.416 21.106
O 3.560 1.075 10.433
O 3.621 1.015 1.746
O 5.354 4.041 12.577
O 5.599 4.174 18.671
O 3.888 1.055 7.882
O 7.786 6.393 0.681
O 7.268 5.439 11.503
O 7.087 5.069 14.041
O 8.093 6.698 3.100
O 7.218 5.098 5.359
O 8.027 6.607 16.234
O 5.083 1.250 18.846
O 6.232 2.833 7.871
O 7.438 5.038 20.001
O 5.437 1.366 5.610
O 8.362 6.490 9.227
O 6.157 2.521 1.826
O 5.376 1.183 12.517
O 6.084 2.441 16.458
O 6.316 2.508 10.304
O 5.574 1.202 21.337
O 7.913 3.934 9.173
O 9.438 6.676 20.100
O 9.650 6.909 13.917
O 7.923 3.474 3.261
O 9.701 6.459 5.352
O 8.100 3.719 16.184
O 8.291 3.519 0.740
O 9.984 6.515 11.526
O 7.211 0.271 4.222
O 7.869 1.495 15.136
O 8.017 1.506 8.966
O 11.502 7.482 6.750
O 8.212 1.819 17.545
O 11.679 7.899 19.838
O 9.500 3.714 11.532
O 10.516 5.258 0.711
O 11.761 7.461 12.804
O 8.363 1.306 2.013
O 10.556 5.212 16.170
O 10.405 4.846 9.207
O 9.937 4.126 20.039
O 9.719 3.578 5.339
O 9.962 3.767 14.026
O 10.698 4.879 3.126
O 9.400 1.536 12.863
O 12.254 6.319 1.952
O 9.645 1.682 6.730
O 12.258 6.317 17.553
CELL_PARAMETERS angstrom
8.752 0.000 0.000
4.360 7.599 0.000
0.080 0.372 21.641
! **Total energy after the MP2020 corrections**: -257.739 eV/f.u.
! **Energy**: -6.19 eV/atom
! **Magnetization**: 0.00 μB/cell
! **Formation enthalpy at 0 K**: -2.4030 eV per atom

Entry 2:
! PBE DyIr3, optimized geometry; values from VASP
&SYSTEM
  ibrav = 0, nat = 4, ntyp = 2
/
ATOMIC_SPECIES
Dy 162.50 Dy.upf
Ir 192.22 Ir.upf
ATOMIC_POSITIONS angstrom
Dy 0.000 0.000 0.000
Ir 0.000 2.029 2.029
Ir 2.029 0.000 2.029
Ir 2.029 2.029 0.000
CELL_PARAMETERS angstrom
4.058 0.000 0.000
0.000 4.058 0.000
0.000 0.000 4.058
! **Energy**: -8.22 eV/atom
! **Magnetization**: 0.00 μB/cell
! **Formation enthalpy at 0 K**: -0.4370 eV per atom

Entry 3:
! PBE Ca2P4PdO8, optimized geometry; values from VASP
&SYSTEM
  ibrav = 0, nat = 30, ntyp = 4
/
ATOMIC_SPECIES
Ca 40.08 Ca.upf
P 30.97 P.upf
Pd 106.42 Pd.upf
O 16.00 O.upf
ATOMIC_POSITIONS angstrom
Ca 0.000 0.000 0.000
Ca 2.920 3.516 0.000
Ca 2.920 0.000 3.520
Ca 0.000 3.516 3.520
P 3.520 3.694 3.692
P 5.240 6.854 3.692
P 5.240 3.694 6.868
P 8.160 7.210 7.212
P 3.520 6.854 6.868
P 6.440 10.370 7.212
P 6.440 7.210 10.389
P 8.160 10.370 10.389
Pd 4.380 5.274 5.280
Pd 7.300 8.790 8.800
O 5.482 6.595 2.216
O 5.473 2.225 6.580
O 3.278 3.953 2.216
O 3.287 2.225 3.980
O 8.402 7.469 5.736
O 8.393 5.741 7.500
O 5.482 3.953 8.345
O 5.473 8.323 3.980
O 6.207 5.741 10.100
O 6.198 10.111 5.736
O 3.287 8.323 6.580
O 3.278 6.595 8.345
O 8.393 11.839 10.100
O 8.402 10.111 11.865
O 6.207 11.839 7.500
O 6.198 7.469 11.865
CELL_PARAMETERS angstrom
0.000 7.032 7.040
5.840 0.000 7.040
5.840 7.032 0.000
! **Total energy after the MP2020 corrections**: -104.021 eV/f.u.
! **Energy**: -6.57 eV/atom
! **Magnetization**: 0.00 μB/cell
! **Formation enthalpy at 0 K**: -2.2395 eV per atom